A relaxed structure of YMnSi. Source: the Materials Project database, functional GGA-PBE.

DFT total energy = -7.605 eV per atom

Geometry as CIF:
```
data_YMnSi
_chemical_formula_sum 'Y2 Mn2 Si2'
_symmetry_space_group_name_H-M 'P 1'
_symmetry_Int_Tables_number 1
_symmetry_space_group_name_Hall 'P 1'
_cell_length_a 3.916
_cell_length_b 3.916
_cell_length_c 7.199
_cell_angle_alpha 90.00
_cell_angle_beta 90.00
_cell_angle_gamma 90.00
loop_
_atom_site_label
_atom_site_type_symbol
_atom_site_fract_x
_atom_site_fract_y
_atom_site_fract_z
Y1 Y 0.250 0.250 0.169
Y2 Y 0.750 0.750 0.831
Mn1 Mn 0.250 0.750 0.500
Mn2 Mn 0.750 0.250 0.500
Si1 Si 0.250 0.250 0.700
Si2 Si 0.750 0.750 0.300
```

A relaxed structure of Y2Mn3Si5. Source: the Materials Project database, functional GGA-PBE.

DFT total energy = -7.379 eV per atom

Geometry as CIF:
```
data_Y2Mn3Si5
_chemical_formula_sum 'Y8 Mn12 Si20'
_symmetry_space_group_name_H-M 'P 1'
_symmetry_Int_Tables_number 1
_symmetry_space_group_name_Hall 'P 1'
_cell_length_a 10.558
_cell_length_b 10.558
_cell_length_c 5.441
_cell_angle_alpha 90.00
_cell_angle_beta 90.00
_cell_angle_gamma 90.00
loop_
_atom_site_label
_atom_site_type_symbol
_atom_site_fract_x
_atom_site_fract_y
_atom_site_fract_z
Y1 Y 0.075 0.236 0.000
Y2 Y 0.236 0.925 0.000
Y3 Y 0.264 0.425 0.500
Y4 Y 0.425 0.736 0.500
Y5 Y 0.575 0.264 0.500
Y6 Y 0.736 0.575 0.500
Y7 Y 0.764 0.075 0.000
Y8 Y 0.925 0.764 0.000
Mn1 Mn 0.000 0.500 0.250
Mn2 Mn 0.000 0.500 0.750
Mn3 Mn 0.123 0.853 0.500
Mn4 Mn 0.147 0.123 0.500
Mn5 Mn 0.353 0.623 0.000
Mn6 Mn 0.377 0.353 0.000
Mn7 Mn 0.500 0.000 0.250
Mn8 Mn 0.500 0.000 0.750
Mn9 Mn 0.623 0.647 0.000
Mn10 Mn 0.647 0.377 0.000
Mn11 Mn 0.853 0.877 0.500
Mn12 Mn 0.877 0.147 0.500
Si1 Si 0.000 0.000 0.265
Si2 Si 0.000 0.000 0.735
Si3 Si 0.023 0.316 0.500
Si4 Si 0.175 0.675 0.250
Si5 Si 0.175 0.675 0.750
Si6 Si 0.184 0.477 0.000
Si7 Si 0.316 0.977 0.500
Si8 Si 0.325 0.175 0.250
Si9 Si 0.325 0.175 0.750
Si10 Si 0.477 0.816 0.000
Si11 Si 0.500 0.500 0.235
Si12 Si 0.500 0.500 0.765
Si13 Si 0.523 0.184 0.000
Si14 Si 0.675 0.825 0.250
Si15 Si 0.675 0.825 0.750
Si16 Si 0.684 0.023 0.500
Si17 Si 0.816 0.523 0.000
Si18 Si 0.825 0.325 0.250
Si19 Si 0.825 0.325 0.750
Si20 Si 0.977 0.684 0.500
```

A relaxed structure of ZrMnSi2. Source: the Materials Project database, functional GGA-PBE.

DFT total energy = -7.829 eV per atom

Geometry as CIF:
```
data_ZrMnSi2
_chemical_formula_sum 'Zr12 Mn12 Si24'
_symmetry_space_group_name_H-M 'P 1'
_symmetry_Int_Tables_number 1
_symmetry_space_group_name_Hall 'P 1'
_cell_length_a 9.052
_cell_length_b 9.862
_cell_length_c 7.894
_cell_angle_alpha 90.00
_cell_angle_beta 90.00
_cell_angle_gamma 90.00
loop_
_atom_site_label
_atom_site_type_symbol
_atom_site_fract_x
_atom_site_fract_y
_atom_site_fract_z
Zr1 Zr 0.169 0.179 0.000
Zr2 Zr 0.174 0.452 0.246
Zr3 Zr 0.174 0.452 0.754
Zr4 Zr 0.326 0.952 0.246
Zr5 Zr 0.326 0.952 0.754
Zr6 Zr 0.331 0.679 0.000
Zr7 Zr 0.669 0.321 0.000
Zr8 Zr 0.674 0.048 0.246
Zr9 Zr 0.674 0.048 0.754
Zr10 Zr 0.826 0.548 0.246
Zr11 Zr 0.826 0.548 0.754
Zr12 Zr 0.831 0.821 0.000
Mn1 Mn 0.000 0.000 0.247
Mn2 Mn 0.000 0.000 0.753
Mn3 Mn 0.084 0.749 0.250
Mn4 Mn 0.084 0.749 0.750
Mn5 Mn 0.416 0.249 0.250
Mn6 Mn 0.416 0.249 0.750
Mn7 Mn 0.500 0.500 0.247
Mn8 Mn 0.500 0.500 0.753
Mn9 Mn 0.584 0.751 0.250
Mn10 Mn 0.584 0.751 0.750
Mn11 Mn 0.916 0.251 0.250
Mn12 Mn 0.916 0.251 0.750
Si1 Si 0.039 0.620 0.000
Si2 Si 0.040 0.626 0.500
Si3 Si 0.109 0.897 0.500
Si4 Si 0.122 0.894 0.000
Si5 Si 0.165 0.181 0.350
Si6 Si 0.165 0.181 0.650
Si7 Si 0.335 0.681 0.350
Si8 Si 0.335 0.681 0.650
Si9 Si 0.378 0.394 0.000
Si10 Si 0.391 0.397 0.500
Si11 Si 0.460 0.126 0.500
Si12 Si 0.461 0.120 0.000
Si13 Si 0.539 0.880 0.000
Si14 Si 0.540 0.874 0.500
Si15 Si 0.609 0.603 0.500
Si16 Si 0.622 0.606 0.000
Si17 Si 0.665 0.319 0.350
Si18 Si 0.665 0.319 0.650
Si19 Si 0.835 0.819 0.350
Si20 Si 0.835 0.819 0.650
Si21 Si 0.878 0.106 0.000
Si22 Si 0.891 0.103 0.500
Si23 Si 0.960 0.374 0.500
Si24 Si 0.961 0.380 0.000
```

A relaxed structure of ZrMnSi2. Source: the Materials Project database, functional GGA-PBE.

DFT total energy = -7.833 eV per atom

Geometry as CIF:
```
data_ZrMnSi2
_chemical_formula_sum 'Zr6 Mn6 Si12'
_symmetry_space_group_name_H-M 'P 1'
_symmetry_Int_Tables_number 1
_symmetry_space_group_name_Hall 'P 1'
_cell_length_a 9.868
_cell_length_b 9.868
_cell_length_c 9.868
_cell_angle_alpha 149.67
_cell_angle_beta 132.85
_cell_angle_gamma 57.10
loop_
_atom_site_label
_atom_site_type_symbol
_atom_site_fract_x
_atom_site_fract_y
_atom_site_fract_z
Zr1 Zr 0.141 0.141 0.000
Zr2 Zr 0.146 0.405 0.741
Zr3 Zr 0.336 0.595 0.741
Zr4 Zr 0.664 0.405 0.259
Zr5 Zr 0.854 0.595 0.259
Zr6 Zr 0.859 0.859 0.000
Mn1 Mn 0.000 0.000 0.500
Mn2 Mn 0.000 0.500 0.000
Mn3 Mn 0.252 0.000 0.252
Mn4 Mn 0.500 0.000 0.000
Mn5 Mn 0.500 0.500 0.500
Mn6 Mn 0.748 0.000 0.748
Si1 Si 0.000 0.255 0.255
Si2 Si 0.000 0.745 0.745
Si3 Si 0.212 0.712 0.500
Si4 Si 0.214 0.863 0.350
Si5 Si 0.298 0.298 0.000
Si6 Si 0.487 0.137 0.350
Si7 Si 0.500 0.255 0.755
Si8 Si 0.500 0.745 0.245
Si9 Si 0.513 0.863 0.650
Si10 Si 0.702 0.702 0.000
Si11 Si 0.786 0.137 0.650
Si12 Si 0.788 0.288 0.500
```